This record from the Materials Project describes crystalline Mg3B7ClO13 at its relaxed geometry. The functional is GGA-PBE.

The total energy is -7.418 eV/atom. Its MP2020-corrected energy is -373.91 eV per cell. As for the crystal system: cubic. The piezoelectric modulus e_max is 0.5 C/m². For the volume, the calculation gives 451 Å³/cell.

Lattice parameters (Å, degrees): 8.6069 8.6069 8.6069 60.00 60.00 60.00
Closest atoms and distances in Å follow each position.
Fractional coordinates of all 48 atoms:
Mg: 0.2500 0.2500 0.7500  4 O 2.05
Mg: 0.2500 0.7500 0.2500  4 O 2.05
Mg: 0.2500 0.7500 0.7500  4 O 2.05
Mg: 0.7500 0.2500 0.2500  4 O 2.05
Mg: 0.7500 0.2500 0.7500  4 O 2.05
Mg: 0.7500 0.7500 0.2500  4 O 2.05
B: 0.0000 0.0000 0.5000  4 O 1.48
B: 0.0000 0.5000 0.0000  4 O 1.48
B: 0.0000 0.5000 0.5000  4 O 1.48
B: 0.1694 0.1694 0.1694  3 O 1.44
B: 0.1694 0.1694 0.4919  3 O 1.44
B: 0.1694 0.4919 0.1694  3 O 1.44
B: 0.4919 0.1694 0.1694  3 O 1.44
B: 0.5000 0.0000 0.0000  4 O 1.48
B: 0.5000 0.0000 0.5000  4 O 1.48
B: 0.5000 0.5000 0.0000  4 O 1.48
B: 0.6694 0.6694 0.6694  3 O 1.44
B: 0.6694 0.6694 0.9919  3 O 1.44
B: 0.6694 0.9919 0.6694  3 O 1.44
B: 0.9919 0.6694 0.6694  3 O 1.44
Cl: 0.0000 0.0000 0.0000  6 Mg 3.04
Cl: 0.5000 0.5000 0.5000  6 Mg 3.04
O: 0.0495 0.4920 0.8127  2 B 1.44-1.48
O: 0.0495 0.6458 0.4920  2 B 1.44-1.48
O: 0.0495 0.8127 0.6458  2 B 1.44-1.48
O: 0.1458 0.3127 0.5495  2 B 1.44-1.48
O: 0.1458 0.5495 0.9920  2 B 1.44-1.48
O: 0.1458 0.9920 0.3127  2 B 1.44-1.48
O: 0.2500 0.2500 0.2500  4 B 1.70
O: 0.3127 0.1458 0.9920  2 B 1.44-1.48
O: 0.3127 0.5495 0.1458  2 B 1.44-1.48
O: 0.3127 0.9920 0.5495  2 B 1.44-1.48
O: 0.4920 0.0495 0.6458  2 B 1.44-1.48
O: 0.4920 0.6458 0.8127  2 B 1.44-1.48
O: 0.4920 0.8127 0.0495  2 B 1.44-1.48
O: 0.5495 0.1458 0.3127  2 B 1.44-1.48
O: 0.5495 0.3127 0.9920  2 B 1.44-1.48
O: 0.5495 0.9920 0.1458  2 B 1.44-1.48
O: 0.6458 0.0495 0.8127  2 B 1.44-1.48
O: 0.6458 0.4920 0.0495  2 B 1.44-1.48
O: 0.6458 0.8127 0.4920  2 B 1.44-1.48
O: 0.7500 0.7500 0.7500  4 B 1.70
O: 0.8127 0.0495 0.4920  2 B 1.44-1.48
O: 0.8127 0.4920 0.6458  2 B 1.44-1.48
O: 0.8127 0.6458 0.0495  2 B 1.44-1.48
O: 0.9920 0.1458 0.5495  2 B 1.44-1.48
O: 0.9920 0.3127 0.1458  2 B 1.44-1.48
O: 0.9920 0.5495 0.3127  2 B 1.44-1.48